[1]
Density functional theory data (PBE+U) for a relaxed structure of KNbV2O8.

The structure in extended XYZ format:
```
48
Lattice="5.682 0.000 0.000 0.000 8.707 0.000 0.000 0.000 15.202" Properties=species:S:1:pos:R:3 pbc="T T T"
V 1.421 4.464 11.968
V 4.262 6.883 7.160
V 4.262 4.244 3.234
V 1.421 2.529 0.441
V 1.421 1.824 8.042
V 4.262 6.178 14.761
V 4.262 0.110 10.835
V 1.421 8.597 4.367
Nb 1.421 6.008 1.769
Nb 4.262 1.654 5.832
Nb 1.421 7.053 9.370
Nb 4.262 2.700 13.432
O 4.262 8.605 6.816
O 0.039 7.828 10.634
O 1.421 2.713 9.425
O 0.039 5.233 3.033
O 4.262 7.067 13.378
O 5.676 6.367 8.149
O 1.421 5.367 10.405
O 4.262 5.994 5.777
O 4.262 1.014 12.398
O 0.006 2.340 7.053
O 1.421 0.103 8.386
O 2.881 0.880 4.568
O 2.835 2.340 7.053
O 4.262 4.456 14.417
O 5.676 6.694 0.548
O 4.262 1.228 9.633
O 5.643 3.474 12.169
O 1.421 1.640 1.824
O 5.643 0.880 4.568
O 0.006 2.013 14.654
O 2.881 3.474 12.169
O 1.421 7.480 5.568
O 4.262 3.126 2.032
O 2.848 6.367 8.149
O 4.262 3.340 4.797
O 2.802 7.828 10.634
O 1.421 5.582 13.169
O 2.802 5.233 3.033
O 1.421 7.694 2.804
O 1.421 4.251 0.785
O 2.835 2.013 14.654
O 2.848 6.694 0.548
K 1.421 4.795 5.691
K 4.262 3.912 9.511
K 1.421 8.266 13.292
K 4.262 0.442 1.910
```

Properties
SG: No. 62

=====

[2]
Density functional theory data (PBE+U) for a relaxed structure of Ba2MgMnO4.

The structure in extended XYZ format:
```
8
Lattice="-8.770 -1.271 4.723 -6.555 3.623 6.689 6.332 0.263 -7.790" Properties=species:S:1:pos:R:3 pbc="T T T"
Ba -4.097 1.864 -0.022
Ba -4.895 0.751 3.646
O -1.219 -0.504 -1.533
O 3.398 0.714 -5.605
O -12.390 1.901 9.228
O -0.111 1.943 -0.550
Mg -7.662 1.176 5.706
Mn 0.000 0.000 0.000
```

Properties
SG: No. 139

=====

[3]
Density functional theory data (PBE+U) for a relaxed structure of CaFeGe2O6.

The structure in extended XYZ format:
```
40
Lattice="-0.391 1.833 5.186 7.033 -5.537 5.163 6.446 6.295 -1.687" Properties=species:S:1:pos:R:3 pbc="T T T"
O 8.727 4.146 0.342
O 9.266 -0.443 6.243
O 11.835 1.950 6.374
O 4.174 -0.137 2.233
O 5.675 4.673 1.194
O 10.917 0.235 3.977
O 4.066 4.362 4.894
O 7.991 1.014 4.030
O 2.171 2.356 4.687
O 9.021 -1.770 3.767
O 7.115 3.835 4.043
O 2.524 -0.821 4.504
O 6.601 0.753 6.904
O 6.302 6.667 3.484
O 5.978 -1.244 4.623
O 6.486 1.838 1.753
O 6.787 -4.076 5.179
O 1.254 0.641 2.288
O 8.916 2.731 6.430
O 4.363 -1.554 8.320
O 10.565 3.412 4.158
O 7.413 -2.081 7.469
O 3.822 3.033 2.419
O 5.092 1.574 4.636
Ca 4.497 -0.153 6.149
Ca 8.590 2.742 2.513
Ca 4.200 5.760 2.724
Ca 8.888 -3.169 5.938
Ge 5.556 -2.928 4.700
Ge 7.534 5.519 3.963
Ge 2.542 -0.455 2.717
Ge 7.829 -0.397 7.388
Ge 9.284 -0.077 4.456
Ge 10.548 3.047 5.946
Ge 5.258 2.989 1.274
Ge 3.804 2.668 4.207
Fe 7.035 2.326 5.472
Fe 0.292 1.940 3.733
Fe 12.797 0.650 4.931
Fe 6.050 0.264 3.192
```

Properties
SG: No. 2

=====

[4]
Density functional theory data (PBE+U) for a relaxed structure of BaEuSnWO6.

The structure in extended XYZ format:
```
20
Lattice="-4.164 3.527 -2.563 0.170 -3.363 -5.077 -6.121 -5.169 3.062" Properties=species:S:1:pos:R:3 pbc="T T T"
O -3.047 1.155 -2.911
O -4.394 -4.263 -2.383
O -2.952 -2.841 -5.247
O -7.163 -2.164 0.669
O -5.721 -0.742 -2.195
O -2.112 -2.727 -1.907
O -3.269 -0.238 -6.002
O -6.845 -4.767 1.424
O -4.056 -3.005 0.025
O -6.058 -2.000 -4.604
O -7.068 -6.160 -1.668
O -8.003 -2.278 -2.671
Ba -4.454 -7.096 -2.595
Ba -5.660 2.091 -1.984
Sn -5.142 -0.821 0.249
Sn 0.085 -1.681 -2.538
W -2.975 -4.266 -1.007
W -2.082 1.763 -1.282
Eu -3.538 -1.295 -3.329
Eu -6.577 -3.710 -1.249
```

Properties
SG: No. 2

=====

[5]
Density functional theory data (PBE+U) for a relaxed structure of Ba2Fe3O7.

The structure in extended XYZ format:
```
12
Lattice="-0.371 3.455 1.458 -2.374 0.940 -2.831 -9.846 -3.982 6.933" Properties=species:S:1:pos:R:3 pbc="T T T"
O -0.363 3.384 1.428
O -9.614 -2.933 4.520
O -7.651 -0.361 3.729
O -3.960 1.984 3.979
O -2.607 -0.099 -0.414
O -4.935 0.738 1.816
O -6.623 0.907 5.855
Ba -8.058 -1.462 6.271
Ba -2.157 0.925 2.116
Fe -1.555 3.905 0.034
Fe -7.584 1.469 4.280
Fe -5.373 2.363 2.723
```

Properties
SG: No. 25

=====

[6]
Density functional theory data (PBE+U) for a relaxed structure of CrFe3O6.

The structure in extended XYZ format:
```
80
Lattice="9.889 -0.245 -0.194 -0.208 9.735 -0.634 -0.227 -0.617 10.389" Properties=species:S:1:pos:R:3 pbc="T T T"
O 1.820 1.774 7.734
O 1.669 7.793 0.119
O 3.990 6.806 2.332
O 1.982 5.099 4.130
O 5.794 6.129 9.716
O 3.115 0.028 3.178
O 7.352 6.244 6.792
O 6.968 3.597 4.152
O 5.413 8.923 4.136
O 7.253 3.390 6.715
O 3.120 5.071 0.332
O 4.710 -0.023 0.058
O 9.290 1.311 7.209
O 4.398 3.918 3.805
O 0.760 -0.195 5.593
O 2.893 1.359 5.382
O 4.575 3.723 8.198
O 1.222 6.822 6.495
O 2.100 8.855 7.800
O 8.814 7.059 8.816
O 5.592 5.917 4.936
O 3.041 3.926 6.129
O 5.181 7.753 7.266
O 8.556 6.961 1.190
O 8.819 2.518 2.167
O 1.504 0.672 0.148
O 3.285 2.513 -0.003
O 7.602 7.451 3.910
O 7.218 -0.413 9.914
O 6.472 5.243 2.078
O 5.458 1.505 2.762
O 0.679 3.053 5.057
O 7.739 4.009 9.490
O 2.851 6.214 8.335
O -0.021 0.075 2.532
O 7.093 9.360 1.501
O 7.044 -0.220 7.029
O 1.242 7.705 2.800
O 0.243 2.496 10.151
O 6.412 2.715 0.676
O 0.819 5.069 1.539
O 3.275 7.612 5.005
O 5.348 1.962 5.841
O 8.260 0.996 4.652
O 1.900 2.912 2.452
O 0.209 4.914 7.774
O 9.213 5.346 3.724
O 4.427 0.999 8.379
Fe 0.295 4.085 3.167
Fe 6.117 0.729 1.081
Fe 4.671 0.743 4.353
Fe 8.689 8.659 0.099
Fe 3.800 5.959 4.024
Fe 2.107 8.852 4.101
Fe 9.273 7.153 2.945
Fe 7.321 5.787 0.432
Fe 7.292 5.490 3.880
Fe 8.208 4.678 7.684
Fe 5.862 3.382 2.580
Fe 7.532 1.503 6.322
Fe 6.878 7.150 8.389
Fe 4.789 2.640 9.813
Fe 1.566 9.432 1.200
Fe 1.310 4.926 6.084
Fe 0.846 6.747 8.485
Fe 8.433 3.045 0.218
Fe 3.097 7.495 6.903
Fe 2.204 6.521 1.462
Fe 5.803 7.829 2.506
Fe 5.871 -0.208 8.526
Fe 4.079 5.205 9.267
Fe 2.650 3.154 4.297
Cr 3.073 0.189 9.685
Cr 0.883 1.479 6.149
Cr 3.690 2.292 7.034
Cr 8.493 0.873 2.958
Cr 6.351 7.736 5.535
Cr 5.646 3.870 5.535
Cr 0.488 1.048 8.964
Cr 1.919 3.663 0.775
```

Properties
SG: No. 1

=====

Energy of formation from the pure elements values, unit meV per atom, following the record order: -2586 -2391 -2342 -2529 -1785 -1527.